The following is a DFT calculation (GGA-PBE) of CsBC4N4 after structural relaxation.

symmetry	No. 88

a b c (Å): 9.5094 9.5094 9.5094
angles (deg): 133.64 133.64 67.65
With the nearest neighbours (Å) after each atom.
Sites, in units of the cell vectors:
Cs 0.3750 0.1250 0.2500  8 N 3.30-3.44
Cs 0.6250 0.8750 0.7500  8 N 3.30-3.44
B 0.1250 0.3750 0.7500  4 C 1.59
B 0.8750 0.6250 0.2500  4 C 1.59
C 0.0772 0.5844 0.2977  1 N 1.17
C 0.0844 0.2867 0.5073  1 N 1.17
C 0.2133 0.2206 0.7977  1 N 1.17
C 0.2794 0.5772 0.9927  1 N 1.17
C 0.7206 0.4228 0.0073  1 N 1.17
C 0.7867 0.7794 0.2023  1 N 1.17
C 0.9156 0.7133 0.4927  1 N 1.17
C 0.9228 0.4156 0.7023  1 N 1.17
N 0.0513 0.2178 0.3254  1 C 1.17
N 0.2259 0.5513 0.3336  1 C 1.17
N 0.2822 0.1077 0.8336  1 C 1.17
N 0.3923 0.7259 0.1746  1 C 1.17
N 0.6077 0.2741 0.8254  1 C 1.17
N 0.7178 0.8923 0.1664  1 C 1.17
N 0.7741 0.4487 0.6664  1 C 1.17
N 0.9487 0.7822 0.6746  1 C 1.17

***

The following is a DFT calculation (GGA-PBE) of CuBP4H24C8S4F4 after structural relaxation.

symmetry	No. 14

a b c (Å): 12.8578 15.7087 12.5889
angles (deg): 90.00 99.46 90.00
With the nearest neighbours (Å) after each atom.
Sites, in units of the cell vectors:
Cu 0.2152 0.1183 0.4810  4 S 2.32-2.35
Cu 0.2152 0.3817 0.9810  4 S 2.32-2.35
Cu 0.7848 0.6183 0.0190  4 S 2.32-2.35
Cu 0.7848 0.8817 0.5190  4 S 2.32-2.35
B 0.2823 0.6278 0.5224  4 F 1.42
B 0.2823 0.8722 0.0224  4 F 1.42
B 0.7177 0.1278 0.9776  4 F 1.42
B 0.7177 0.3722 0.4776  4 F 1.42
P 0.0049 0.1857 0.3100  2 C 1.81, 1 S 1.99
P 0.0049 0.3143 0.8100  2 C 1.81, 1 S 1.99
P 0.0788 0.0693 0.2502  2 C 1.81, 1 S 1.98
P 0.0788 0.4307 0.7502  2 C 1.81, 1 S 1.98
P 0.3643 0.0839 0.7209  2 C 1.81, 1 S 1.98
P 0.3643 0.4161 0.2209  2 C 1.81, 1 S 1.98
P 0.4601 0.1559 0.6153  2 C 1.81, 1 S 1.99
P 0.4601 0.3441 0.1153  2 C 1.81, 1 S 1.99
P 0.5399 0.6559 0.8847  2 C 1.81, 1 S 1.99
P 0.5399 0.8441 0.3847  2 C 1.81, 1 S 1.99
P 0.6357 0.5839 0.7791  2 C 1.81, 1 S 1.98
P 0.6357 0.9161 0.2791  2 C 1.81, 1 S 1.98
P 0.9212 0.5693 0.2498  2 C 1.81, 1 S 1.98
P 0.9212 0.9307 0.7498  2 C 1.81, 1 S 1.98
P 0.9951 0.6857 0.1900  2 C 1.81, 1 S 1.99
P 0.9951 0.8143 0.6900  2 C 1.81, 1 S 1.99
H 0.0161 0.2271 0.6540  1 C 1.09
H 0.0161 0.2729 0.1540  1 C 1.09
H 0.0248 0.5402 0.6234  1 C 1.10
H 0.0248 0.9598 0.1234  1 C 1.10
H 0.0528 0.5544 0.4093  1 C 1.10
H 0.0528 0.9456 0.9093  1 C 1.10
H 0.0788 0.0144 0.8023  1 C 1.09
H 0.0788 0.4856 0.3023  1 C 1.09
H 0.0786 0.6041 0.0670  1 C 1.10
H 0.0786 0.8959 0.5670  1 C 1.10
H 0.0843 0.6922 0.7732  1 C 1.10
H 0.0843 0.8078 0.2732  1 C 1.10
H 0.1075 0.7163 0.3586  1 C 1.10
H 0.1075 0.7837 0.8586  1 C 1.10
H 0.1375 0.1432 0.0996  1 C 1.10
H 0.1375 0.3568 0.5996  1 C 1.10
H 0.1459 0.7026 0.1060  1 C 1.10
H 0.1459 0.7974 0.6060  1 C 1.10
H 0.1626 0.6128 0.1956  1 C 1.10
H 0.1626 0.8872 0.6956  1 C 1.10
H 0.2205 0.0557 0.1524  1 C 1.10
H 0.2205 0.4443 0.6524  1 C 1.10
H 0.2259 0.1551 0.2249  1 C 1.10
H 0.2259 0.3449 0.7249  1 C 1.10
H 0.3594 0.6634 0.9027  1 C 1.10
H 0.3594 0.8366 0.4027  1 C 1.10
H 0.3616 0.0738 0.9080  1 C 1.10
H 0.3616 0.4262 0.4080  1 C 1.10
H 0.3677 0.5623 0.2698  1 C 1.10
H 0.3677 0.9377 0.7698  1 C 1.10
H 0.3727 0.6359 0.7673  1 C 1.10
H 0.3727 0.8641 0.2673  1 C 1.10
H 0.3745 0.2108 0.1354  1 C 1.09
H 0.3745 0.2892 0.6354  1 C 1.09
H 0.3779 0.1825 0.8694  1 C 1.10
H 0.3779 0.3175 0.3694  1 C 1.10
H 0.3817 0.5490 0.1307  1 C 1.10
H 0.3817 0.9510 0.6307  1 C 1.10
H 0.3944 0.5568 0.8725  1 C 1.10
H 0.3944 0.9432 0.3725  1 C 1.10
H 0.4829 0.2262 0.2438  1 C 1.10
H 0.4829 0.2738 0.7438  1 C 1.10
H 0.4882 0.1098 0.8843  1 C 1.10
H 0.4882 0.3902 0.3843  1 C 1.10
H 0.4924 0.5318 0.2352  1 C 1.10
H 0.4923 0.6980 0.3879  1 C 1.10
H 0.4923 0.8020 0.8879  1 C 1.10
H 0.4924 0.9682 0.7352  1 C 1.10
H 0.5076 0.0318 0.2648  1 C 1.10
H 0.5077 0.1980 0.1121  1 C 1.10
H 0.5077 0.3020 0.6121  1 C 1.10
H 0.5076 0.4682 0.7648  1 C 1.10
H 0.5118 0.6098 0.6157  1 C 1.10
H 0.5118 0.8902 0.1157  1 C 1.10
H 0.5171 0.7262 0.2562  1 C 1.10
H 0.5171 0.7738 0.7562  1 C 1.10
H 0.6056 0.0568 0.6275  1 C 1.10
H 0.6056 0.4432 0.1275  1 C 1.10
H 0.6183 0.0490 0.3693  1 C 1.10
H 0.6183 0.4510 0.8693  1 C 1.10
H 0.6221 0.6825 0.6306  1 C 1.10
H 0.6221 0.8175 0.1306  1 C 1.10
H 0.6255 0.7108 0.3646  1 C 1.09
H 0.6255 0.7892 0.8646  1 C 1.09
H 0.6273 0.1359 0.7327  1 C 1.10
H 0.6273 0.3641 0.2327  1 C 1.10
H 0.6323 0.0623 0.2302  1 C 1.10
H 0.6323 0.4377 0.7302  1 C 1.10
H 0.6384 0.5738 0.5920  1 C 1.10
H 0.6384 0.9262 0.0920  1 C 1.10
H 0.6406 0.1634 0.5973  1 C 1.10
H 0.6406 0.3366 0.0973  1 C 1.10
H 0.7741 0.6551 0.2751  1 C 1.10
H 0.7741 0.8449 0.7751  1 C 1.10
H 0.7795 0.5557 0.3476  1 C 1.10
H 0.7795 0.9443 0.8476  1 C 1.10
H 0.8374 0.1128 0.3044  1 C 1.10
H 0.8374 0.3872 0.8044  1 C 1.10
H 0.8541 0.2026 0.3940  1 C 1.10
H 0.8541 0.2974 0.8940  1 C 1.10
H 0.8625 0.6432 0.4004  1 C 1.10
H 0.8625 0.8568 0.9004  1 C 1.10
H 0.8925 0.2163 0.1414  1 C 1.10
H 0.8925 0.2837 0.6414  1 C 1.10
H 0.9157 0.1922 0.7268  1 C 1.10
H 0.9157 0.3078 0.2268  1 C 1.10
H 0.9214 0.1041 0.4330  1 C 1.10
H 0.9214 0.3959 0.9330  1 C 1.10
H 0.9212 0.5144 0.6977  1 C 1.09
H 0.9212 0.9856 0.1977  1 C 1.09
H 0.9472 0.0544 0.0907  1 C 1.10
H 0.9472 0.4456 0.5907  1 C 1.10
H 0.9752 0.0402 0.8766  1 C 1.10
H 0.9752 0.4598 0.3766  1 C 1.10
H 0.9839 0.7271 0.8460  1 C 1.09
H 0.9839 0.7729 0.3461  1 C 1.09
C 0.0174 0.5119 0.3436  3 H 1.09-1.10
C 0.0174 0.9881 0.8436  3 H 1.09-1.10
C 0.0473 0.7481 0.8039  3 H 1.09-1.10
C 0.0473 0.7519 0.3039  3 H 1.09-1.10
C 0.1070 0.6468 0.1344  3 H 1.10
C 0.1070 0.8532 0.6344  3 H 1.10
C 0.1749 0.1105 0.1734  3 H 1.10
C 0.1749 0.3895 0.6734  3 H 1.10
C 0.4028 0.1164 0.8593  3 H 1.10
C 0.4028 0.3836 0.3593  3 H 1.10
C 0.4032 0.6241 0.8529  3 H 1.10
C 0.4032 0.8759 0.3529  3 H 1.10
C 0.4067 0.5256 0.2132  3 H 1.10
C 0.4067 0.9744 0.7132  3 H 1.10
C 0.4554 0.2338 0.1567  3 H 1.09-1.10
C 0.4554 0.2662 0.6567  3 H 1.09-1.10
C 0.5446 0.7338 0.3433  3 H 1.09-1.10
C 0.5446 0.7662 0.8433  3 H 1.09-1.10
C 0.5933 0.0256 0.2868  3 H 1.10
C 0.5933 0.4744 0.7868  3 H 1.10
C 0.5968 0.1241 0.6471  3 H 1.10
C 0.5968 0.3759 0.1471  3 H 1.10
C 0.5972 0.6164 0.6407  3 H 1.10
C 0.5972 0.8836 0.1407  3 H 1.10
C 0.8251 0.6105 0.3266  3 H 1.10
C 0.8251 0.8895 0.8266  3 H 1.10
C 0.8930 0.1468 0.3656  3 H 1.10
C 0.8930 0.3532 0.8656  3 H 1.10
C 0.9527 0.2481 0.6961  3 H 1.09-1.10
C 0.9527 0.2519 0.1961  3 H 1.09-1.10
C 0.9826 0.0119 0.1564  3 H 1.09-1.10
C 0.9826 0.4881 0.6564  3 H 1.09-1.10
S 0.1179 0.2396 0.4149  1 P 1.99
S 0.1179 0.2604 0.9149  1 P 1.99
S 0.1401 0.0031 0.3797  1 P 1.98
S 0.1401 0.4969 0.8797  1 P 1.98
S 0.2135 0.1053 0.6641  1 P 1.98
S 0.2135 0.3947 0.1641  1 P 1.98
S 0.3940 0.1328 0.4642  1 P 1.99
S 0.3940 0.3672 0.9642  1 P 1.99
S 0.6060 0.6328 0.0358  1 P 1.99
S 0.6060 0.8672 0.5358  1 P 1.99
S 0.7865 0.6053 0.8359  1 P 1.98
S 0.7865 0.8947 0.3359  1 P 1.98
S 0.8599 0.5031 0.1203  1 P 1.98
S 0.8599 0.9969 0.6203  1 P 1.98
S 0.8821 0.7396 0.0851  1 P 1.99
S 0.8821 0.7604 0.5851  1 P 1.99
F 0.1791 0.6306 0.5492  1 B 1.42
F 0.1791 0.8694 0.0492  1 B 1.42
F 0.2754 0.6269 0.4083  1 B 1.42
F 0.2754 0.8731 0.9083  1 B 1.42
F 0.3346 0.5528 0.5665  1 B 1.42
F 0.3346 0.9472 0.0665  1 B 1.42
F 0.3400 0.7005 0.5653  1 B 1.42
F 0.3400 0.7995 0.0653  1 B 1.42
F 0.6600 0.2005 0.9347  1 B 1.42
F 0.6600 0.2995 0.4347  1 B 1.42
F 0.6654 0.0528 0.9335  1 B 1.42
F 0.6654 0.4472 0.4335  1 B 1.42
F 0.7246 0.1269 0.0917  1 B 1.42
F 0.7246 0.3731 0.5917  1 B 1.42
F 0.8209 0.1306 0.9508  1 B 1.42
F 0.8209 0.3694 0.4508  1 B 1.42

***

The following is a DFT calculation (GGA-PBE) of Dy5B2C5 after structural relaxation.

symmetry	No. 130

a b c (Å): 8.1599 8.1599 10.7668
angles (deg): 90.00 90.00 90.00
With the nearest neighbours (Å) after each atom.
Sites, in units of the cell vectors:
Dy 0.0367 0.6566 0.1003  4 C 2.42-2.60, 1 B 2.64
Dy 0.0367 0.8434 0.6003  4 C 2.42-2.60, 1 B 2.64
Dy 0.1566 0.5367 0.3997  4 C 2.42-2.60, 1 B 2.64
Dy 0.1566 0.9633 0.8997  4 C 2.42-2.60, 1 B 2.64
Dy 0.2500 0.2500 0.1389  6 C 2.54-2.84
Dy 0.2500 0.2500 0.6389  6 C 2.54-2.84
Dy 0.3434 0.5367 0.8997  4 C 2.42-2.60, 1 B 2.64
Dy 0.3434 0.9633 0.3997  4 C 2.42-2.60, 1 B 2.64
Dy 0.4633 0.6566 0.6003  4 C 2.42-2.60, 1 B 2.64
Dy 0.4633 0.8434 0.1003  4 C 2.42-2.60, 1 B 2.64
Dy 0.5367 0.1566 0.8997  4 C 2.42-2.60, 1 B 2.64
Dy 0.5367 0.3434 0.3997  4 C 2.42-2.60, 1 B 2.64
Dy 0.6566 0.0367 0.6003  4 C 2.42-2.60, 1 B 2.64
Dy 0.6566 0.4633 0.1003  4 C 2.42-2.60, 1 B 2.64
Dy 0.7500 0.7500 0.3611  6 C 2.54-2.84
Dy 0.7500 0.7500 0.8611  6 C 2.54-2.84
Dy 0.8434 0.0367 0.1003  4 C 2.42-2.60, 1 B 2.64
Dy 0.8434 0.4633 0.6003  4 C 2.42-2.60, 1 B 2.64
Dy 0.9633 0.1566 0.3997  4 C 2.42-2.60, 1 B 2.64
Dy 0.9633 0.3434 0.8997  4 C 2.42-2.60, 1 B 2.64
B 0.0939 0.5939 0.7500  2 C 1.47
B 0.0939 0.9061 0.2500  2 C 1.47
B 0.4061 0.5939 0.2500  2 C 1.47
B 0.4061 0.9061 0.7500  2 C 1.47
B 0.5939 0.0939 0.2500  2 C 1.47
B 0.5939 0.4061 0.7500  2 C 1.47
B 0.9061 0.0939 0.7500  2 C 1.47
B 0.9061 0.4061 0.2500  2 C 1.47
C 0.0522 0.6481 0.8758  1 B 1.47
C 0.0522 0.8519 0.3758  1 B 1.47
C 0.1481 0.5522 0.6242  1 B 1.47
C 0.1481 0.9478 0.1242  1 B 1.47
C 0.2500 0.2500 0.4030  5 Dy 2.46-2.54
C 0.2500 0.2500 0.9030  5 Dy 2.46-2.54
C 0.3519 0.5522 0.1242  1 B 1.47
C 0.3519 0.9478 0.6242  1 B 1.47
C 0.4478 0.6481 0.3758  1 B 1.47
C 0.4478 0.8519 0.8758  1 B 1.47
C 0.5522 0.1481 0.1242  1 B 1.47
C 0.5522 0.3519 0.6242  1 B 1.47
C 0.6481 0.0522 0.3758  1 B 1.47
C 0.6481 0.4478 0.8758  1 B 1.47
C 0.7500 0.7500 0.0970  5 Dy 2.46-2.54
C 0.7500 0.7500 0.5970  5 Dy 2.46-2.54
C 0.8519 0.0522 0.8758  1 B 1.47
C 0.8519 0.4478 0.3758  1 B 1.47
C 0.9478 0.1481 0.6242  1 B 1.47
C 0.9478 0.3519 0.1242  1 B 1.47

***

Record-wise formation energy values, in eV/atom: -0.156, -0.613, -0.433
Record-wise volume values, in Å³ per cell: 442.7, 2508.1, 716.9